Entry 1:
VASP calculation (r²SCAN) on crystalline TmBeCu4 at its relaxed geometry.

Computed properties:
Formation enthalpy at 0 K, eV/atom: -0.2110
Symmetry: R3m, No. 160
Raw total energy, eV/atom: -14.019

Cell and atoms, written as POSCAR:
```
TmBeCu4
1.0
4.071 -2.444 0.005
4.071 2.444 0.005
2.598 0.000 3.974
Cu Be Tm
4 1 1
direct
0.872 0.378 0.378
0.378 0.872 0.378
0.378 0.378 0.872
0.745 0.745 0.745
0.380 0.380 0.380
0.998 0.998 0.998
```

Entry 2:
VASP calculation (r²SCAN) on crystalline DyBe13 at its relaxed geometry.

Computed properties:
Formation enthalpy at 0 K, eV/atom: -0.2025
Symmetry: Fm-3c, No. 226
Raw total energy, eV/atom: -6.515

Cell and atoms, written as POSCAR:
```
DyBe13
1.0
-5.934 3.227 -2.527
-5.344 1.765 4.511
-1.274 6.928 1.547
Be Dy
26 2
direct
0.063 0.290 0.710
0.937 0.710 0.290
0.710 0.063 0.290
0.790 0.563 0.210
0.063 0.710 0.937
0.790 0.437 0.563
0.710 0.937 0.063
0.500 0.500 0.500
0.290 0.063 0.937
0.437 0.790 0.210
0.437 0.210 0.563
0.563 0.790 0.437
0.437 0.563 0.790
0.290 0.937 0.710
0.000 0.000 0.000
0.790 0.210 0.437
0.563 0.210 0.790
0.063 0.937 0.290
0.210 0.790 0.563
0.210 0.437 0.790
0.290 0.710 0.063
0.937 0.290 0.063
0.710 0.290 0.937
0.937 0.063 0.710
0.563 0.437 0.210
0.210 0.563 0.437
0.250 0.250 0.250
0.750 0.750 0.750
```

Entry 3:
VASP calculation (r²SCAN) on crystalline ErBe13 at its relaxed geometry.

Computed properties:
Formation enthalpy at 0 K, eV/atom: -0.2008
Symmetry: Fm-3c, No. 226
Raw total energy, eV/atom: -6.652

Cell and atoms, written as POSCAR:
```
ErBe13
1.0
0.566 7.088 -1.064
-1.444 2.791 -6.466
-5.914 3.974 -0.961
Be Er
26 2
direct
0.790 0.562 0.438
0.938 0.710 0.062
0.210 0.438 0.562
0.290 0.062 0.710
0.710 0.290 0.062
0.562 0.438 0.790
0.438 0.562 0.210
0.500 0.500 0.500
0.062 0.290 0.938
0.562 0.790 0.210
0.210 0.790 0.438
0.790 0.438 0.210
0.438 0.790 0.562
0.562 0.210 0.438
0.710 0.062 0.938
0.438 0.210 0.790
0.938 0.290 0.710
0.290 0.938 0.062
0.290 0.710 0.938
0.210 0.562 0.790
0.710 0.938 0.290
0.000 0.000 0.000
0.938 0.062 0.290
0.790 0.210 0.562
0.062 0.938 0.710
0.062 0.710 0.290
0.250 0.250 0.250
0.750 0.750 0.750
```

Entry 4:
VASP calculation (r²SCAN) on crystalline KErBeF6 at its relaxed geometry.

Computed properties:
Formation enthalpy at 0 K, eV/atom: -3.8931
Symmetry: P2_1/m, No. 11
Raw total energy, eV/atom: -10.897

Cell and atoms, written as POSCAR:
```
KErBeF6
1.0
-2.535 4.187 3.011
-0.599 -3.893 4.909
5.910 3.515 0.088
K Er F Be
2 2 12 2
direct
0.750 0.069 0.206
0.250 0.931 0.794
0.250 0.614 0.179
0.750 0.386 0.821
0.502 0.678 0.961
0.750 0.549 0.585
0.967 0.773 0.405
0.250 0.013 0.254
0.033 0.227 0.595
0.002 0.322 0.039
0.498 0.322 0.039
0.750 0.987 0.746
0.467 0.227 0.595
0.533 0.773 0.405
0.250 0.451 0.415
0.998 0.678 0.961
0.250 0.233 0.462
0.750 0.767 0.538
```

Entry 5:
VASP calculation (r²SCAN) on crystalline Eu3BeO5 at its relaxed geometry.

Computed properties:
Formation enthalpy at 0 K, eV/atom: -3.1587
Symmetry: Pnma, No. 62
Raw total energy, eV/atom: -19.799

Cell and atoms, written as POSCAR:
```
Eu3BeO5
1.0
-2.819 -5.185 -2.708
4.609 -4.306 3.447
-5.975 -0.560 7.290
O Be Eu
20 4 12
direct
0.837 0.250 0.278
0.195 0.056 0.431
0.863 0.750 0.275
0.805 0.556 0.569
0.305 0.056 0.931
0.805 0.944 0.569
0.021 0.750 0.011
0.363 0.250 0.225
0.137 0.250 0.725
0.195 0.444 0.431
0.521 0.250 0.489
0.163 0.750 0.722
0.663 0.250 0.778
0.979 0.250 0.989
0.305 0.444 0.931
0.695 0.944 0.069
0.695 0.556 0.069
0.337 0.750 0.222
0.479 0.750 0.511
0.637 0.750 0.775
0.307 0.250 0.398
0.693 0.750 0.602
0.193 0.250 0.898
0.807 0.750 0.102
0.091 0.750 0.478
0.591 0.250 0.022
0.919 0.521 0.828
0.409 0.750 0.978
0.581 0.979 0.328
0.919 0.979 0.828
0.419 0.021 0.672
0.581 0.521 0.328
0.081 0.479 0.172
0.081 0.021 0.172
0.909 0.250 0.522
0.419 0.479 0.672
```

Entry 6:
VASP calculation (r²SCAN) on crystalline BeF2 at its relaxed geometry.

Computed properties:
Formation enthalpy at 0 K, eV/atom: -3.4717
Polymorph energy (0 for the lowest one), eV per atom: 0.014
Raw total energy, eV/atom: -7.002

Cell and atoms, written as POSCAR:
```
BeF2
1.0
8.286 0.000 0.000
0.000 8.286 0.000
0.000 0.000 8.286
F Be
24 12
direct
0.555 0.857 0.857
0.857 0.143 0.445
0.945 0.357 0.643
0.857 0.445 0.143
0.643 0.945 0.357
0.555 0.143 0.143
0.143 0.555 0.143
0.143 0.143 0.555
0.643 0.055 0.643
0.143 0.445 0.857
0.055 0.643 0.643
0.445 0.857 0.143
0.357 0.945 0.643
0.857 0.857 0.555
0.055 0.357 0.357
0.143 0.857 0.445
0.357 0.055 0.357
0.357 0.357 0.055
0.945 0.643 0.357
0.445 0.143 0.857
0.643 0.643 0.055
0.857 0.555 0.857
0.643 0.357 0.945
0.357 0.643 0.945
0.000 0.500 0.250
0.500 0.000 0.250
0.750 0.000 0.500
0.000 0.250 0.500
0.250 0.500 0.000
0.000 0.750 0.500
0.500 0.750 0.000
0.000 0.500 0.750
0.250 0.000 0.500
0.750 0.500 0.000
0.500 0.000 0.750
0.500 0.250 0.000
```